Entry 1:
Density functional theory data (PBE with a Hubbard U) for SrPrYMnO6 after structural relaxation.

Cell: 5.757 5.757 5.757 Å, 60.00 60.00 60.00°
Positions (direct):
Sr 0.000 0.000 0.000
Pr 0.500 0.500 0.500
Y 0.750 0.750 0.750
Mn 0.250 0.250 0.250
O 0.017 0.017 0.483
O 0.017 0.483 0.017
O 0.017 0.483 0.483
O 0.483 0.017 0.017
O 0.483 0.017 0.483
O 0.483 0.483 0.017

Properties
- formation enthalpy at 0 K (eV per atom) = -3.03



Entry 2:
Density functional theory data (PBE with a Hubbard U) for LiCo3O2F6 after structural relaxation.

Cell: 4.601 5.506 10.218 Å, 82.85 89.41 89.73°
Positions (direct):
Li 0.000 0.000 0.000
Li 0.500 0.000 0.500
Co 0.000 0.500 0.500
Co 0.029 0.271 0.244
Co 0.468 0.270 0.746
Co 0.500 0.500 0.000
Co 0.532 0.730 0.254
Co 0.971 0.729 0.756
O 0.193 0.474 0.673
O 0.310 0.470 0.169
O 0.690 0.530 0.831
O 0.807 0.526 0.327
F 0.189 0.724 0.922
F 0.197 0.228 0.426
F 0.226 0.966 0.186
F 0.276 0.970 0.683
F 0.301 0.226 0.927
F 0.304 0.717 0.426
F 0.696 0.283 0.574
F 0.699 0.774 0.073
F 0.724 0.030 0.317
F 0.774 0.034 0.814
F 0.803 0.772 0.574
F 0.811 0.276 0.078

Properties
- formation enthalpy at 0 K (eV per atom) = -2.11
- energy above the lowest structure with this stoichiometry (eV per atom) = 0.000



Entry 3:
Density functional theory data (PBE with a Hubbard U) for Li2VF5 after structural relaxation.

Cell: 7.490 5.514 9.653 Å, 90.00 90.00 90.00°
Positions (direct):
Li 0.069 0.250 0.217
Li 0.084 0.250 0.930
Li 0.416 0.750 0.430
Li 0.431 0.750 0.717
Li 0.569 0.250 0.283
Li 0.584 0.250 0.570
Li 0.916 0.750 0.070
Li 0.931 0.750 0.783
V 0.183 0.250 0.547
V 0.317 0.750 0.047
V 0.683 0.250 0.953
V 0.817 0.750 0.453
F 0.000 0.000 0.500
F 0.000 0.500 0.500
F 0.113 0.250 0.738
F 0.135 0.004 0.083
F 0.135 0.496 0.083
F 0.239 0.750 0.852
F 0.261 0.250 0.352
F 0.365 0.504 0.583
F 0.365 0.996 0.583
F 0.387 0.750 0.238
F 0.500 0.000 0.000
F 0.500 0.500 0.000
F 0.613 0.250 0.762
F 0.635 0.004 0.417
F 0.635 0.496 0.417
F 0.739 0.750 0.648
F 0.761 0.250 0.148
F 0.865 0.504 0.917
F 0.865 0.996 0.917
F 0.887 0.750 0.262

Properties
- formation enthalpy at 0 K (eV per atom) = -3.16
- energy above the lowest structure with this stoichiometry (eV per atom) = 0.048



Entry 4:
Density functional theory data (PBE with a Hubbard U) for CrAgO4 after structural relaxation.

Cell: 5.147 5.147 7.110 Å, 90.00 90.00 110.54°
Positions (direct):
Cr 0.147 0.853 0.750
Cr 0.853 0.147 0.250
Ag 0.500 0.500 0.000
Ag 0.500 0.500 0.500
O 0.202 0.269 0.250
O 0.256 0.744 0.555
O 0.256 0.744 0.945
O 0.269 0.202 0.750
O 0.731 0.798 0.250
O 0.744 0.256 0.055
O 0.744 0.256 0.445
O 0.798 0.731 0.750

Properties
- formation enthalpy at 0 K (eV per atom) = -1.20
- energy above the lowest structure with this stoichiometry (eV per atom) = 0.000



| no. | DFT total energy (eV per formula unit) |
| --- | --- |
| 1 | -76.3 |
| 2 | -60.8 |
| 3 | -43.7 |
| 4 | -34.7 |